1.
{
  "formula": "Na2Al2S3Cl8O6",
  "functional": "PBE",
  "state": "optimized geometry",
  "formation_energy_ev_per_atom": -1.617,
  "space_group": "P2_1/c",
  "crystal_system": "monoclinic",
  "lattice_angstrom": [[10.168, 0.000, 0.000], [0.000, 6.448, 0.000], [0.000, 2.017, 31.883]],
  "species": ["Na", "Na", "Na", "Na", "Na", "Na", "Na", "Na", "Al", "Al", "Al", "Al", "Al", "Al", "Al", "Al", "S", "S", "S", "S", "S", "S", "S", "S", "S", "S", "S", "S", "Cl", "Cl", "Cl", "Cl", "Cl", "Cl", "Cl", "Cl", "Cl", "Cl", "Cl", "Cl", "Cl", "Cl", "Cl", "Cl", "Cl", "Cl", "Cl", "Cl", "Cl", "Cl", "Cl", "Cl", "Cl", "Cl", "Cl", "Cl", "Cl", "Cl", "Cl", "Cl", "O", "O", "O", "O", "O", "O", "O", "O", "O", "O", "O", "O", "O", "O", "O", "O", "O", "O", "O", "O", "O", "O", "O", "O"],
  "frac_coords": [[0.840, 0.795, 0.059], [0.660, 0.295, 0.559], [0.488, 0.880, 0.798], [0.512, 0.120, 0.202], [0.988, 0.620, 0.702], [0.012, 0.380, 0.298], [0.340, 0.705, 0.441], [0.160, 0.205, 0.941], [0.712, 0.104, 0.697], [0.788, 0.604, 0.197], [0.271, 0.149, 0.536], [0.212, 0.396, 0.803], [0.729, 0.851, 0.464], [0.288, 0.896, 0.303], [0.771, 0.351, 0.964], [0.229, 0.649, 0.036], [0.474, 0.908, 0.917], [0.463, 0.602, 0.634], [0.678, 0.379, 0.815], [0.037, 0.102, 0.134], [0.526, 0.092, 0.083], [0.974, 0.592, 0.583], [0.026, 0.408, 0.417], [0.537, 0.398, 0.366], [0.822, 0.879, 0.315], [0.322, 0.621, 0.185], [0.963, 0.898, 0.866], [0.178, 0.121, 0.685], [0.770, 0.028, 0.635], [0.509, 0.011, 0.709], [0.275, 0.564, 0.295], [0.122, 0.123, 0.584], [0.378, 0.623, 0.084], [0.181, 0.973, 0.022], [0.694, 0.489, 0.019], [0.168, 0.057, 0.255], [0.051, 0.493, 0.059], [0.306, 0.511, 0.981], [0.878, 0.877, 0.416], [0.332, 0.557, 0.755], [0.681, 0.527, 0.478], [0.819, 0.027, 0.978], [0.230, 0.972, 0.365], [0.551, 0.007, 0.441], [0.622, 0.377, 0.916], [0.832, 0.943, 0.745], [0.491, 0.989, 0.291], [0.775, 0.936, 0.205], [0.319, 0.473, 0.522], [0.270, 0.472, 0.865], [0.449, 0.993, 0.559], [0.730, 0.528, 0.135], [0.194, 0.011, 0.481], [0.225, 0.064, 0.795], [0.806, 0.989, 0.519], [0.725, 0.436, 0.705], [0.009, 0.489, 0.791], [0.949, 0.507, 0.941], [0.991, 0.511, 0.209], [0.668, 0.443, 0.245], [0.169, 0.021, 0.141], [0.991, 0.617, 0.627], [0.081, 0.280, 0.692], [0.366, 0.407, 0.189], [0.634, 0.593, 0.811], [0.919, 0.720, 0.308], [0.856, 0.485, 0.570], [0.009, 0.383, 0.373], [0.451, 0.512, 0.393], [0.581, 0.220, 0.808], [0.144, 0.515, 0.430], [0.134, 0.907, 0.689], [0.509, 0.117, 0.127], [0.951, 0.988, 0.107], [0.419, 0.780, 0.192], [0.866, 0.093, 0.311], [0.331, 0.521, 0.641], [0.831, 0.979, 0.859], [0.049, 0.012, 0.893], [0.356, 0.015, 0.930], [0.549, 0.488, 0.607], [0.669, 0.479, 0.359], [0.491, 0.883, 0.873], [0.644, 0.985, 0.070]]
}


2.
{
  "formula": "Na4Al3Si3ClO12",
  "functional": "PBE",
  "state": "optimized geometry",
  "formation_energy_ev_per_atom": -3.034,
  "space_group": "C2",
  "crystal_system": "monoclinic",
  "lattice_angstrom": [[2.682, -0.627, -7.285], [7.581, -1.777, 0.163], [3.649, -7.382, -3.540]],
  "species": ["Na", "Na", "Na", "Na", "Al", "Al", "Al", "Si", "Si", "Si", "Cl", "O", "O", "O", "O", "O", "O", "O", "O", "O", "O", "O", "O"],
  "frac_coords": [[0.645, 0.003, 0.358], [0.361, 0.002, 0.991], [0.998, 0.639, 0.009], [0.997, 0.355, 0.642], [0.748, 0.252, 0.500], [0.251, 0.252, 0.253], [0.748, 0.749, 0.747], [0.496, 0.494, 0.753], [0.254, 0.746, 0.500], [0.506, 0.504, 0.247], [0.999, 0.001, 0.000], [0.699, 0.001, 0.584], [0.424, 0.304, 0.291], [0.415, 0.696, 0.586], [0.299, 0.987, 0.305], [0.578, 0.702, 0.009], [0.567, 0.296, 0.715], [0.013, 0.701, 0.695], [0.298, 0.422, 0.991], [0.704, 0.433, 0.285], [0.999, 0.301, 0.416], [0.696, 0.576, 0.709], [0.304, 0.585, 0.414]]
}


3.
{
  "formula": "Na4Al2Si6ClO24",
  "functional": "PBE",
  "state": "optimized geometry",
  "formation_energy_ev_per_atom": -1.750,
  "space_group": "P1",
  "crystal_system": "triclinic",
  "lattice_angstrom": [[-5.470, 4.963, 4.009], [-2.606, -8.704, -1.385], [7.572, -0.892, 6.406]],
  "species": ["Na", "Na", "Na", "Na", "Al", "Al", "Si", "Si", "Si", "Si", "Si", "Si", "Cl", "O", "O", "O", "O", "O", "O", "O", "O", "O", "O", "O", "O", "O", "O", "O", "O", "O", "O", "O", "O", "O", "O", "O", "O"],
  "frac_coords": [[0.078, 0.934, 0.374], [0.427, 0.021, 0.044], [0.975, 0.662, 0.038], [0.963, 0.119, 0.713], [0.847, 0.598, 0.581], [0.406, 0.478, 0.580], [0.611, 0.359, 0.721], [0.033, 0.043, 0.087], [0.308, 0.552, 0.024], [0.815, 0.456, 0.257], [0.207, 0.583, 0.783], [0.108, 0.312, 0.262], [0.752, 0.892, 0.925], [0.649, 0.514, 0.646], [0.652, 0.098, 0.667], [0.709, 0.413, 0.891], [0.146, 0.946, 0.073], [0.875, 0.821, 0.624], [0.959, 0.376, 0.264], [0.978, 0.803, 0.537], [0.389, 0.968, 0.658], [0.924, 0.645, 0.244], [0.379, 0.943, 0.773], [0.018, 0.103, 0.254], [0.338, 0.595, 0.688], [0.755, 0.450, 0.400], [0.201, 0.133, 0.620], [0.605, 0.313, 0.116], [0.161, 0.413, 0.841], [0.584, 0.988, 0.311], [0.639, 0.212, 0.601], [0.022, 0.592, 0.713], [0.370, 0.288, 0.634], [0.120, 0.251, 0.094], [0.335, 0.723, 0.966], [0.436, 0.886, 0.323], [0.318, 0.443, 0.395]]
}